No. 1
Material: GaAsO4
Method: DFT, PBE
State: optimized geometry

The structure in CIF format:
```
data_GaAsO4
_symmetry_space_group_name_H-M 'C 2 2 21'
_symmetry_Int_Tables_number 20
_symmetry_space_group_name_Hall 'C 2c 2'
_cell_length_a 7.025
_cell_length_b 7.421
_cell_length_c 7.133
_cell_angle_alpha 90.00
_cell_angle_beta 90.00
_cell_angle_gamma 90.00
loop_
_atom_site_label
_atom_site_type_symbol
_atom_site_fract_x
_atom_site_fract_y
_atom_site_fract_z
Ga1 Ga 0.173 0.000 0.000
As1 As 0.000 0.321 0.250
O1 O 0.016 0.196 0.048
O2 O 0.195 0.457 0.279
```

No. 2
Material: Ba2TmMgCu3O7
Method: DFT, PBE
State: optimized geometry

The structure in CIF format:
```
data_Ba2TmMgCu3O7
_symmetry_space_group_name_H-M 'P m m 2'
_symmetry_Int_Tables_number 25
_symmetry_space_group_name_Hall 'P 2 -2'
_cell_length_a 3.671
_cell_length_b 3.976
_cell_length_c 13.999
_cell_angle_alpha 90.00
_cell_angle_beta 90.00
_cell_angle_gamma 90.00
loop_
_atom_site_label
_atom_site_type_symbol
_atom_site_fract_x
_atom_site_fract_y
_atom_site_fract_z
Ba1 Ba 0.000 0.000 0.000
Ba2 Ba 0.000 0.000 0.471
Tm1 Tm 0.000 0.000 0.730
Mg1 Mg 0.000 0.500 0.282
Cu1 Cu 0.500 0.500 0.146
Cu2 Cu 0.500 0.500 0.619
Cu3 Cu 0.500 0.500 0.847
O1 O 0.000 0.500 0.599
O2 O 0.000 0.500 0.805
O3 O 0.500 0.000 0.181
O4 O 0.500 0.000 0.622
O5 O 0.500 0.000 0.830
O6 O 0.500 0.500 0.006
O7 O 0.500 0.500 0.366
```

E_form? In order: -1.94, -2.04 eV/atom.